1.
Computed, not measured: crystalline Er3In4Co2 at its relaxed geometry at the GGA-PBE level of DFT.

Properties
- DFT total energy (eV/f.u.) = -42.28
- DFT formation energy (eV/atom) = -0.373
- SG = No. 174

CIF file:
```
data_Er3In4Co2
_cell_length_a 7.9137
_cell_length_b 7.9137
_cell_length_c 3.5239
_cell_angle_alpha 90.00
_cell_angle_beta 90.00
_cell_angle_gamma 120.00
_space_group_name_H-M_alt 'P 1'
_space_group_IT_number 1
loop_
_space_group_symop_operation_xyz
'x,y,z'
loop_
_atom_site_label
_atom_site_type_symbol
_atom_site_fract_x
_atom_site_fract_y
_atom_site_fract_z
Er1 Er 0.0430 0.6239 0.0000
Er2 Er 0.3761 0.4191 0.0000
Er3 Er 0.5809 0.9570 0.0000
In1 In 0.2578 0.0028 0.5000
In2 In 0.6667 0.3333 0.5000
In3 In 0.7450 0.7422 0.5000
In4 In 0.9972 0.2550 0.5000
Co1 Co 0.0000 0.0000 0.0000
Co2 Co 0.3333 0.6667 0.5000
```

---

2.
Computed, not measured: crystalline NdMgPd at its relaxed geometry at the GGA-PBE level of DFT.

Properties
- DFT total energy (eV/f.u.) = -13.51
- DFT formation energy (eV/atom) = -0.653
- SG = No. 189

CIF file:
```
data_NdMgPd
_cell_length_a 7.6973
_cell_length_b 7.6973
_cell_length_c 4.0674
_cell_angle_alpha 90.00
_cell_angle_beta 90.00
_cell_angle_gamma 120.00
_space_group_name_H-M_alt 'P 1'
_space_group_IT_number 1
loop_
_space_group_symop_operation_xyz
'x,y,z'
loop_
_atom_site_label
_atom_site_type_symbol
_atom_site_fract_x
_atom_site_fract_y
_atom_site_fract_z
Nd1 Nd 0.0000 0.5886 0.0000
Nd2 Nd 0.4114 0.4114 0.0000
Nd3 Nd 0.5886 0.0000 0.0000
Mg1 Mg 0.0000 0.2430 0.5000
Mg2 Mg 0.2430 0.0000 0.5000
Mg3 Mg 0.7570 0.7570 0.5000
Pd1 Pd 0.0000 0.0000 0.0000
Pd2 Pd 0.3333 0.6667 0.5000
Pd3 Pd 0.6667 0.3333 0.5000
```

---

3.
Computed, not measured: crystalline MgPaPt2 at its relaxed geometry at the GGA-PBE level of DFT.

Properties
- DFT total energy (eV/f.u.) = -26.77
- DFT formation energy (eV/atom) = -0.877
- SG = No. 225

CIF file:
```
data_MgPaPt2
_cell_length_a 6.8057
_cell_length_b 6.8057
_cell_length_c 6.8057
_cell_angle_alpha 90.00
_cell_angle_beta 90.00
_cell_angle_gamma 90.00
_space_group_name_H-M_alt 'P 1'
_space_group_IT_number 1
loop_
_space_group_symop_operation_xyz
'x,y,z'
loop_
_atom_site_label
_atom_site_type_symbol
_atom_site_fract_x
_atom_site_fract_y
_atom_site_fract_z
Mg1 Mg 0.0000 0.0000 0.0000
Mg2 Mg 0.0000 0.5000 0.5000
Mg3 Mg 0.5000 0.0000 0.5000
Mg4 Mg 0.5000 0.5000 0.0000
Pa1 Pa 0.0000 0.0000 0.5000
Pa2 Pa 0.0000 0.5000 0.0000
Pa3 Pa 0.5000 0.0000 0.0000
Pa4 Pa 0.5000 0.5000 0.5000
Pt1 Pt 0.2500 0.2500 0.2500
Pt2 Pt 0.2500 0.2500 0.7500
Pt3 Pt 0.2500 0.7500 0.2500
Pt4 Pt 0.2500 0.7500 0.7500
Pt5 Pt 0.7500 0.2500 0.2500
Pt6 Pt 0.7500 0.2500 0.7500
Pt7 Pt 0.7500 0.7500 0.2500
Pt8 Pt 0.7500 0.7500 0.7500
```

---

4.
Computed, not measured: crystalline Zr3Sb at its relaxed geometry at the GGA-PBE level of DFT.

Properties
- DFT total energy (eV/f.u.) = -31.34
- DFT formation energy (eV/atom) = -0.439
- SG = No. 194
- total energy after the MP2020 corrections (eV per atom) = -7.88

CIF file:
```
data_Zr3Sb
_cell_length_a 6.2907
_cell_length_b 6.2907
_cell_length_c 5.2075
_cell_angle_alpha 90.00
_cell_angle_beta 90.00
_cell_angle_gamma 120.00
_space_group_name_H-M_alt 'P 1'
_space_group_IT_number 1
loop_
_space_group_symop_operation_xyz
'x,y,z'
loop_
_atom_site_label
_atom_site_type_symbol
_atom_site_fract_x
_atom_site_fract_y
_atom_site_fract_z
Zr1 Zr 0.1662 0.3325 0.2500
Zr2 Zr 0.1662 0.8338 0.2500
Zr3 Zr 0.3325 0.1662 0.7500
Zr4 Zr 0.6675 0.8338 0.2500
Zr5 Zr 0.8338 0.1662 0.7500
Zr6 Zr 0.8338 0.6675 0.7500
Sb1 Sb 0.3333 0.6667 0.7500
Sb2 Sb 0.6667 0.3333 0.2500
```

---

5.
Computed, not measured: crystalline GdZrF7 at its relaxed geometry at the GGA-PBE level of DFT.

Properties
- DFT total energy (eV/f.u.) = -70.58
- DFT formation energy (eV/atom) = -4.198
- SG = No. 4
- total energy after the MP2020 corrections (eV per atom) = -8.20

CIF file:
```
data_GdZrF7
_cell_length_a 6.2083
_cell_length_b 5.7773
_cell_length_c 8.3953
_cell_angle_alpha 90.00
_cell_angle_beta 101.83
_cell_angle_gamma 90.00
_space_group_name_H-M_alt 'P 1'
_space_group_IT_number 1
loop_
_space_group_symop_operation_xyz
'x,y,z'
loop_
_atom_site_label
_atom_site_type_symbol
_atom_site_fract_x
_atom_site_fract_y
_atom_site_fract_z
Gd1 Gd 0.1556 0.0000 0.1848
Gd2 Gd 0.8444 0.5000 0.8152
Zr1 Zr 0.3123 0.9902 0.7238
Zr2 Zr 0.6877 0.4902 0.2762
F1 F 0.0462 0.2016 0.7135
F2 F 0.0486 0.3115 0.0242
F3 F 0.1229 0.6970 0.7181
F4 F 0.2557 0.9944 0.4767
F5 F 0.3594 0.9867 0.9718
F6 F 0.4259 0.2742 0.2675
F7 F 0.4641 0.7538 0.2610
F8 F 0.5359 0.2538 0.7390
F9 F 0.5741 0.7742 0.7325
F10 F 0.6406 0.4867 0.0282
F11 F 0.7443 0.4944 0.5233
F12 F 0.8771 0.1970 0.2819
F13 F 0.9514 0.8115 0.9758
F14 F 0.9538 0.7016 0.2865
```

---

6.
Computed, not measured: crystalline LiAl2H2O4 at its relaxed geometry at the GGA-PBE level of DFT.

Properties
- DFT total energy (eV/f.u.) = -53.70
- DFT formation energy (eV/atom) = -2.274
- SG = No. 8
- total energy after the MP2020 corrections (eV per atom) = -6.27

CIF file:
```
data_LiAl2H2O4
_cell_length_a 7.9626
_cell_length_b 7.9626
_cell_length_c 3.7516
_cell_angle_alpha 103.53
_cell_angle_beta 103.53
_cell_angle_gamma 20.73
_space_group_name_H-M_alt 'P 1'
_space_group_IT_number 1
loop_
_space_group_symop_operation_xyz
'x,y,z'
loop_
_atom_site_label
_atom_site_type_symbol
_atom_site_fract_x
_atom_site_fract_y
_atom_site_fract_z
Li1 Li 0.0000 0.0000 0.0000
Al1 Al 0.1961 0.1961 0.9840
Al2 Al 0.8063 0.8063 0.5936
H1 H 0.4300 0.4300 0.4989
H2 H 0.5729 0.5729 0.6447
O1 O 0.2197 0.2197 0.5069
O2 O 0.3912 0.3912 0.6840
O3 O 0.6114 0.6114 0.9060
O4 O 0.7830 0.7830 0.0698
```